No. 1
Here is crystalline Na3Ca3AlS6O24 at its relaxed geometry from the Materials Project database. Energies are from GGA-PBE.

## Properties
Total energy after the MP2020 corrections = -0.2451 hartree per atom

Unit cell a=9.050 b=9.046 c=23.248 alpha=89.95 beta=90.18 gamma=120.25
Sites, in units of the cell vectors:
S: 0.302 0.998 0.249
S: 0.356 0.974 0.917
S: 0.643 0.997 0.419
S: 0.380 0.330 0.077
S: 0.670 0.051 0.078
S: 0.353 0.357 0.419
S: 0.945 0.328 0.578
S: 0.674 0.618 0.579
S: 0.004 0.299 0.250
S: 0.024 0.697 0.753
S: 0.026 0.381 0.916
S: 0.618 0.644 0.916
S: 0.375 0.049 0.578
S: 0.951 0.622 0.074
S: 0.674 0.977 0.757
S: 0.004 0.647 0.425
S: 0.303 0.327 0.757
S: 0.693 0.699 0.251
O: 0.646 0.123 0.752
O: 0.504 0.817 0.767
O: 0.998 0.792 0.799
O: 0.503 0.624 0.866
O: 0.526 0.643 0.575
O: 0.665 0.122 0.135
O: 0.466 0.127 0.631
O: 0.828 0.041 0.073
O: 0.740 0.948 0.702
O: 0.349 0.873 0.574
O: 0.551 0.673 0.970
O: 0.844 0.514 0.025
O: 0.111 0.671 0.476
O: 0.124 0.643 0.073
O: 0.330 0.452 0.466
O: 0.329 0.848 0.253
O: 0.961 0.790 0.070
O: 0.456 0.335 0.135
O: 0.206 0.260 0.702
O: 0.313 0.497 0.767
O: 0.516 0.879 0.076
O: 0.997 0.208 0.908
O: 0.021 0.215 0.198
O: 0.212 0.002 0.908
O: 0.793 0.788 0.908
O: 0.832 0.488 0.431
O: 0.838 0.786 0.578
O: 0.553 0.932 0.363
O: 0.519 0.146 0.922
O: 0.121 0.498 0.866
O: 0.663 0.529 0.633
O: 0.378 0.447 0.363
O: 0.877 0.542 0.130
O: 0.478 0.356 0.752
O: 0.791 0.783 0.303
O: 0.116 0.486 0.574
O: 0.124 0.451 0.969
O: 0.216 0.212 0.805
O: 0.205 0.985 0.197
O: 0.051 0.787 0.697
O: 0.217 0.013 0.301
O: 0.511 0.346 0.429
O: 0.847 0.312 0.248
O: 0.654 0.166 0.429
O: 0.202 0.032 0.577
O: 0.474 0.152 0.527
O: 0.818 0.023 0.418
O: 0.962 0.174 0.578
O: 0.671 0.162 0.030
O: 0.204 0.182 0.417
O: 0.625 0.480 0.922
O: 0.183 0.688 0.765
O: 0.491 0.331 0.029
O: 0.875 0.522 0.750
O: 0.476 0.157 0.248
O: 0.664 0.522 0.249
O: 0.980 0.796 0.420
O: 0.854 0.372 0.921
O: 0.520 0.686 0.254
O: 0.838 0.318 0.527
O: 0.377 0.880 0.866
O: 0.778 0.800 0.199
O: 0.211 0.171 0.073
O: 0.328 0.876 0.970
O: 0.080 0.621 0.372
O: 0.161 0.470 0.255
O: 0.987 0.195 0.302
O: 0.361 0.483 0.075
O: 0.547 0.878 0.466
O: 0.867 0.344 0.631
O: 0.679 0.516 0.528
O: 0.790 0.005 0.805
Na: 0.353 0.666 0.679
Na: 0.313 0.666 0.156
Na: 0.684 0.350 0.343
Na: 0.000 0.000 0.996
Na: 0.043 0.704 0.586
Na: 0.640 0.000 0.250
Na: 0.999 0.015 0.500
Na: 0.358 0.357 0.249
Na: 0.666 0.333 0.836
Ca: 0.341 0.666 0.516
Ca: 0.998 0.013 0.655
Ca: 0.325 0.667 0.329
Ca: 0.676 0.343 0.180
Ca: 0.000 0.993 0.356
Ca: 0.000 0.999 0.852
Ca: 0.999 0.994 0.139
Ca: 0.336 0.667 0.015
Ca: 0.661 0.328 0.691
Al: 0.662 0.329 0.485
Al: 0.666 0.333 0.980
Al: 0.332 0.666 0.822

***

No. 2
Here is crystalline Na14Ca4Al4Si5S7O48 at its relaxed geometry from the Materials Project database. Energies are from GGA-PBE.

## Properties
Total energy after the MP2020 corrections = -0.2450 hartree per atom

Unit cell a=18.298 b=9.027 c=22.175 alpha=89.81 beta=89.57 gamma=119.33
Sites, in units of the cell vectors:
Na: 0.335 0.681 0.086
Na: 0.811 0.328 0.824
Na: 0.677 0.348 0.250
Na: 0.509 0.375 0.743
Na: 0.649 0.974 0.073
Na: 0.984 0.293 0.431
Na: 0.016 0.035 0.008
Na: 0.842 0.654 0.419
Na: 0.675 0.002 0.755
Na: 0.986 0.675 0.916
Na: 0.001 0.357 0.732
Na: 0.183 0.352 0.255
Na: 0.844 0.024 0.912
Na: 0.501 0.645 0.231
Na: 0.329 0.336 0.827
Na: 0.012 0.651 0.244
Na: 0.172 0.671 0.165
Na: 0.517 0.001 0.511
Na: 0.656 0.645 0.159
Na: 0.183 0.014 0.750
Na: 0.323 0.619 0.748
Na: 0.487 0.300 0.421
Na: 0.511 0.005 0.005
Na: 0.315 0.299 0.325
Na: 0.665 0.672 0.669
Na: 0.809 0.313 0.335
Na: 0.344 0.037 0.911
Na: 0.809 0.003 0.244
Na: 0.011 0.016 0.510
Na: 0.322 0.974 0.592
Na: 0.168 0.070 0.421
Na: 0.480 0.674 0.920
Na: 0.162 0.995 0.069
Na: 0.667 0.058 0.420
Na: 0.156 0.665 0.661
Na: 0.817 0.666 0.080
Na: 0.149 0.319 0.583
Na: 0.349 0.664 0.418
Na: 0.668 0.269 0.917
Na: 0.170 0.275 0.916
Na: 0.834 0.987 0.590
Na: 0.658 0.322 0.580
O: 0.639 0.206 0.811
O: 0.762 0.850 0.083
O: 0.703 0.123 0.520
O: 0.823 0.512 0.913
O: 0.940 0.577 0.032
O: 0.476 0.742 0.821
O: 0.838 0.161 0.744
O: 0.242 0.317 0.745
O: 0.084 0.213 0.421
O: 0.324 0.551 0.633
O: 0.890 0.820 0.912
O: 0.084 0.166 0.699
O: 0.745 0.171 0.245
O: 0.421 0.505 0.142
O: 0.581 0.489 0.574
O: 0.279 0.842 0.741
O: 0.987 0.215 0.308
O: 0.902 0.801 0.304
O: 0.248 0.380 0.137
O: 0.429 0.588 0.024
O: 0.267 0.664 0.865
O: 0.005 0.199 0.925
O: 0.203 0.130 0.523
O: 0.940 0.376 0.930
O: 0.990 0.147 0.601
O: 0.169 0.513 0.356
O: 0.754 0.363 0.422
O: 0.490 0.167 0.199
O: 0.075 0.478 0.582
O: 0.482 0.215 0.306
O: 0.163 0.821 0.258
O: 0.570 0.474 0.858
O: 0.915 0.829 0.194
O: 0.752 0.325 0.726
O: 0.416 0.004 0.695
O: 0.930 0.274 0.524
O: 0.152 0.482 0.737
O: 0.326 0.523 0.921
O: 0.426 0.507 0.740
O: 0.323 0.134 0.414
O: 0.392 0.834 0.925
O: 0.443 0.317 0.526
O: 0.670 0.509 0.474
O: 0.617 0.014 0.317
O: 0.406 0.999 0.103
O: 0.017 0.818 0.416
O: 0.957 0.561 0.141
O: 0.895 0.959 0.422
O: 0.080 0.963 0.930
O: 0.853 0.598 0.523
O: 0.438 0.506 0.428
O: 0.577 0.681 0.472
O: 0.821 0.501 0.626
O: 0.574 0.666 0.082
O: 0.388 0.795 0.199
O: 0.893 0.025 0.807
O: 0.673 0.826 0.574
O: 0.257 0.873 0.360
O: 0.519 0.848 0.709
O: 0.056 0.457 0.864
O: 0.165 0.502 0.477
O: 0.577 0.173 0.094
O: 0.555 0.656 0.363
O: 0.253 0.142 0.922
O: 0.663 0.513 0.066
O: 0.079 0.471 0.972
O: 0.667 0.504 0.758
O: 0.581 0.197 0.429
O: 0.353 0.109 0.025
O: 0.404 0.835 0.588
O: 0.919 0.518 0.737
O: 0.770 0.878 0.362
O: 0.082 0.461 0.245
O: 0.349 0.150 0.744
O: 0.003 0.834 0.090
O: 0.832 0.105 0.139
O: 0.136 0.064 0.311
O: 0.988 0.813 0.699
O: 0.569 0.451 0.239
O: 0.347 0.586 0.525
O: 0.491 0.832 0.102
O: 0.655 0.828 0.237
O: 0.264 0.865 0.470
O: 0.731 0.401 0.141
O: 0.943 0.510 0.413
O: 0.324 0.144 0.129
O: 0.892 0.986 0.698
O: 0.258 0.672 0.256
O: 0.073 0.669 0.356
O: 0.516 0.212 0.917
O: 0.172 0.517 0.075
O: 0.080 0.678 0.077
O: 0.749 0.116 0.634
O: 0.253 0.668 0.577
O: 0.931 0.328 0.236
O: 0.114 0.222 0.817
O: 0.170 0.877 0.855
O: 0.162 0.814 0.567
O: 0.855 0.119 0.031
O: 0.086 0.170 0.104
O: 0.761 0.852 0.753
O: 0.753 0.125 0.915
O: 0.400 0.005 0.805
O: 0.858 0.553 0.245
O: 0.914 0.983 0.093
O: 0.755 0.647 0.861
O: 0.086 0.958 0.198
O: 0.666 0.831 0.981
O: 0.779 0.705 0.241
O: 0.673 0.832 0.859
O: 0.902 0.810 0.601
O: 0.827 0.134 0.419
O: 0.236 0.075 0.637
O: 0.417 0.318 0.237
O: 0.250 0.174 0.227
O: 0.982 0.750 0.806
O: 0.169 0.830 0.977
O: 0.252 0.382 0.412
O: 0.071 0.694 0.739
O: 0.923 0.339 0.641
O: 0.591 0.687 0.757
O: 0.762 0.859 0.472
O: 0.506 0.814 0.425
O: 0.075 0.665 0.467
O: 0.765 0.663 0.972
O: 0.260 0.661 0.976
O: 0.709 0.282 0.027
O: 0.585 0.008 0.200
O: 0.672 0.458 0.352
O: 0.391 0.766 0.309
O: 0.505 0.182 0.584
O: 0.586 0.962 0.924
O: 0.573 0.478 0.968
O: 0.593 0.221 0.696
O: 0.753 0.647 0.584
O: 0.203 0.278 0.023
O: 0.257 0.863 0.087
O: 0.587 0.004 0.602
O: 0.006 0.179 0.202
O: 0.441 0.372 0.914
O: 0.335 0.516 0.247
O: 0.390 0.960 0.411
O: 0.077 0.982 0.596
O: 0.456 0.357 0.634
Si: 0.176 0.338 0.084
Si: 0.650 0.002 0.250
Si: 0.502 0.693 0.758
Si: 0.669 0.341 0.082
Si: 0.162 0.005 0.249
Si: 0.979 0.316 0.587
Si: 0.168 0.403 0.416
Si: 0.676 0.012 0.582
Si: 0.168 0.954 0.920
Si: 0.169 0.999 0.581
Si: 0.665 0.321 0.749
Si: 0.668 0.936 0.919
Si: 0.668 0.380 0.419
Si: 0.149 0.299 0.750
Si: 0.478 0.640 0.087
S: 0.989 0.694 0.744
S: 0.525 0.385 0.914
S: 0.834 0.640 0.584
S: 0.334 0.661 0.581
S: 0.337 0.031 0.086
S: 0.813 0.957 0.419
S: 0.488 0.285 0.245
S: 0.847 0.003 0.750
S: 0.495 0.336 0.579
S: 0.345 0.693 0.252
S: 0.863 0.721 0.247
S: 0.027 0.664 0.414
S: 0.520 0.664 0.422
S: 0.806 0.661 0.915
S: 0.994 0.658 0.085
S: 0.312 0.671 0.921
S: 0.841 0.016 0.086
S: 0.020 0.375 0.922
S: 0.308 0.955 0.415
S: 0.001 0.296 0.247
S: 0.361 0.000 0.747
Ca: 0.321 0.329 0.488
Ca: 0.331 0.327 0.675
Ca: 0.164 0.663 0.810
Ca: 0.508 0.016 0.350
Ca: 0.007 0.999 0.849
Ca: 0.829 0.327 0.495
Ca: 0.825 0.337 0.173
Ca: 0.330 0.333 0.993
Ca: 0.663 0.663 0.311
Ca: 0.823 0.315 0.987
Ca: 0.016 0.022 0.350
Ca: 0.516 0.002 0.847
Al: 0.019 0.010 0.155
Al: 0.824 0.308 0.673
Al: 0.164 0.651 0.015
Al: 0.013 0.012 0.650
Al: 0.664 0.667 0.809
Al: 0.144 0.632 0.526
Al: 0.323 0.331 0.172
Al: 0.179 0.694 0.316
Al: 0.637 0.644 0.023
Al: 0.514 0.016 0.148
Al: 0.662 0.667 0.518
Al: 0.530 0.016 0.666

***

no.,ΔH_f (0 K) (eV/atom),volume (Å³ per atom),ρ (Mg/m³)
1,-2.419,14.8,2.40
2,-2.580,13.0,2.69